(1)
BaSiGe: relaxed, PBE.

Results
Total energy   -4.39 eV/atom
Energy of formation   -0.40 eV/atom
Total magnetic moment   0.000 μB/f.u.

Lattice parameters (Å, degrees): 6.8989 6.8989 6.8989 90.00 90.00 90.00
With the nearest neighbours (Å) after each atom.
Space group P2_13 (No. 198)
One atom of each set of equivalent atoms:
Ba: 0.1261 0.1261 0.1261 (multiplicity 4)  4 Si 3.43-3.54, 4 Ge 3.44-3.56
Si: 0.0772 0.5772 0.9228 (multiplicity 4)  3 Ge 2.53
Ge: 0.1720 0.3280 0.6720 (multiplicity 4)  3 Si 2.53

=====

(2)
LaTb3: relaxed, PBE.

Results
Total energy   -4.67 eV/atom
Energy of formation   0.04 eV/atom

Lattice parameters (Å, degrees): 5.1322 5.1322 10.1886 90.00 90.00 90.00
With the nearest neighbours (Å) after each atom.
Space group I4/mmm (No. 139)
One atom of each set of equivalent atoms:
La: 0.0000 0.0000 0.0000 (multiplicity 2)  12 Tb 3.62-3.63
Tb: 0.0000 0.0000 0.5000 (multiplicity 2)  8 Tb 3.62, 4 La 3.63
Tb: 0.0000 0.5000 0.2500 (multiplicity 4)  8 Tb 3.62-3.63, 4 La 3.62

=====

(3)
CsAuC2: relaxed, PBE.

Results
Total energy   -5.48 eV/atom
Energy of formation   0.17 eV/atom
Total magnetic moment   0.000 μB/f.u.

Lattice parameters (Å, degrees): 4.8892 4.8892 5.2437 90.00 90.00 90.00
With the nearest neighbours (Å) after each atom.
Space group P4/mmm (No. 123)
One atom of each set of equivalent atoms:
Cs: 0.0000 0.0000 0.0000 (multiplicity 1)  8 C 3.51
Au: 0.5000 0.5000 0.5000 (multiplicity 1)  2 C 2.00
C: 0.5000 0.5000 0.1189 (multiplicity 2)  1 C 1.25